PBE YMg2, optimized geometry; formation energy from the elements = -47 meV/atom; calculated volume = 26.16 A^3/atom
1.0
0.438 -6.644 -1.118
3.438 -5.807 0.211
-1.956 -3.100 6.369
Mg Y
4 2
direct
0.839 0.839 0.541
0.161 0.161 0.459
0.193 0.193 0.871
0.807 0.807 0.129
0.481 0.481 0.774
0.519 0.519 0.226



PBE LiNbP4O12, optimized geometry; formation energy from the elements = -2566 meV/atom; calculated volume = 15.01 A^3/atom; excess energy over the best structure of this formula in the dataset = 0.0375 eV/atom
1.0
14.044 0.000 0.000
0.000 5.316 0.000
0.000 0.544 7.236
O P Li Nb
24 8 2 2
direct
0.100 0.690 0.512
0.898 0.345 0.980
0.214 0.360 0.791
0.714 0.640 0.209
0.398 0.655 0.020
0.989 0.068 0.527
0.616 0.805 0.927
0.823 0.180 0.437
0.251 0.618 0.227
0.600 0.310 0.488
0.489 0.932 0.473
0.116 0.195 0.073
0.323 0.820 0.563
0.369 0.288 0.497
0.751 0.382 0.773
0.658 0.851 0.539
0.158 0.149 0.461
0.607 0.036 0.217
0.261 0.950 0.956
0.761 0.050 0.044
0.107 0.964 0.783
0.361 0.005 0.232
0.869 0.712 0.503
0.861 0.995 0.768
0.379 0.016 0.450
0.673 0.862 0.091
0.594 0.038 0.438
0.173 0.138 0.909
0.879 0.984 0.550
0.094 0.962 0.562
0.319 0.783 0.110
0.819 0.217 0.890
0.011 0.397 0.097
0.511 0.603 0.903
0.736 0.510 0.490
0.236 0.490 0.510



PBE Al2O3, optimized geometry; formation energy from the elements = -3427 meV/atom; calculated volume = 8.74 A^3/atom
1.0
1.202 2.583 -4.324
-1.619 -1.284 -4.748
-3.357 2.759 -2.816
O Al
6 4
direct
0.944 0.250 0.556
0.556 0.944 0.250
0.444 0.056 0.750
0.250 0.556 0.944
0.750 0.444 0.056
0.056 0.750 0.444
0.648 0.648 0.648
0.352 0.352 0.352
0.852 0.852 0.852
0.148 0.148 0.148



PBE Al2O3, optimized geometry; formation energy from the elements = -3333 meV/atom; calculated volume = 8.57 A^3/atom
1.0
-3.091 -3.732 0.119
1.998 -1.789 -4.203
4.664 -3.741 3.810
O Al
12 8
direct
0.607 0.102 0.846
0.393 0.602 0.846
0.893 0.898 0.346
0.107 0.398 0.346
0.549 0.250 0.500
0.893 0.602 0.654
0.107 0.102 0.654
0.607 0.398 0.154
0.451 0.750 0.500
0.393 0.898 0.154
0.951 0.750 0.000
0.049 0.250 0.000
0.248 0.531 0.110
0.752 0.031 0.110
0.748 0.531 0.390
0.248 0.969 0.890
0.748 0.969 0.610
0.252 0.031 0.390
0.752 0.469 0.890
0.252 0.469 0.610



PBE RbMg6GaO8, optimized geometry; formation energy from the elements = -2407 meV/atom; calculated volume = 11.45 A^3/atom; excess energy over the best structure of this formula in the dataset = 0.0000 eV/atom
1.0
-4.765 -6.873 1.475
3.322 -2.692 -1.813
1.935 -0.440 4.199
Mg O Ga Rb
6 8 1 1
direct
0.247 0.500 0.000
0.753 0.000 0.500
0.500 0.500 0.500
0.753 0.500 0.000
0.000 0.500 0.500
0.247 0.000 0.500
0.747 0.500 0.500
0.500 0.500 0.000
0.000 0.500 0.000
0.253 0.500 0.500
0.500 0.000 0.500
0.289 0.000 0.000
0.711 0.000 0.000
0.000 0.000 0.500
0.500 0.000 0.000
0.000 0.000 0.000



PBE Th2Hg, optimized geometry; formation energy from the elements = -138 meV/atom; calculated volume = 29.86 A^3/atom
1.0
0.909 5.596 -1.565
1.338 4.131 4.500
5.835 1.746 -1.417
Hg Th
2 4
direct
0.750 0.000 0.000
0.250 0.000 0.000
0.347 0.500 0.806
0.847 0.806 0.500
0.653 0.500 0.194
0.153 0.194 0.500